Record 1
## NaFeSe2O6 (GGA+U)

Data for an optimized crystal structure of NaFeSe2O6.

Unit cell a=12.762 b=5.459 c=8.053 alpha=90.00 beta=90.00 gamma=90.00
Fractional positions:
Na (0.114, 0.250, 0.010)
Na (0.386, 0.750, 0.510)
Na (0.614, 0.250, 0.490)
Na (0.886, 0.750, 0.990)
Fe (0.101, 0.750, 0.702)
Fe (0.399, 0.250, 0.202)
Fe (0.601, 0.750, 0.798)
Fe (0.899, 0.250, 0.298)
Se (0.068, 0.750, 0.287)
Se (0.206, 0.250, 0.495)
Se (0.294, 0.750, 0.995)
Se (0.432, 0.250, 0.787)
Se (0.568, 0.750, 0.213)
Se (0.706, 0.250, 0.005)
Se (0.794, 0.750, 0.505)
Se (0.932, 0.250, 0.713)
O (0.000, 0.007, 0.800)
O (0.000, 0.493, 0.800)
O (0.000, 0.507, 0.200)
O (0.000, 0.993, 0.200)
O (0.023, 0.750, 0.488)
O (0.163, 0.750, 0.938)
O (0.211, 0.002, 0.629)
O (0.211, 0.498, 0.629)
O (0.289, 0.502, 0.129)
O (0.289, 0.998, 0.129)
O (0.337, 0.250, 0.438)
O (0.477, 0.250, 0.988)
O (0.500, 0.007, 0.700)
O (0.500, 0.493, 0.700)
O (0.500, 0.507, 0.300)
O (0.500, 0.993, 0.300)
O (0.523, 0.750, 0.012)
O (0.663, 0.750, 0.562)
O (0.711, 0.002, 0.871)
O (0.711, 0.498, 0.871)
O (0.789, 0.502, 0.371)
O (0.789, 0.998, 0.371)
O (0.837, 0.250, 0.062)
O (0.977, 0.250, 0.512)

Results
**Space group**: No. 62

---

Record 2
## Li9Mn2Co5O16 (GGA+U)

Data for an optimized crystal structure of Li9Mn2Co5O16.

Unit cell a=5.099 b=5.848 c=9.779 alpha=90.00 beta=99.66 gamma=90.00
Fractional positions:
Li (0.000, 0.000, 0.000)
Li (0.243, 0.245, 0.231)
Li (0.243, 0.755, 0.231)
Li (0.245, 0.000, 0.765)
Li (0.259, 0.500, 0.760)
Li (0.741, 0.500, 0.240)
Li (0.755, 0.000, 0.235)
Li (0.757, 0.245, 0.769)
Li (0.757, 0.755, 0.769)
Mn (0.000, 0.252, 0.500)
Mn (0.000, 0.748, 0.500)
Co (0.000, 0.500, 0.000)
Co (0.500, 0.000, 0.500)
Co (0.500, 0.243, 0.000)
Co (0.500, 0.500, 0.500)
Co (0.500, 0.757, 0.000)
O (0.097, 0.000, 0.385)
O (0.104, 0.500, 0.387)
O (0.135, 0.272, 0.892)
O (0.135, 0.728, 0.892)
O (0.351, 0.500, 0.116)
O (0.359, 0.263, 0.606)
O (0.359, 0.737, 0.606)
O (0.396, 0.000, 0.124)
O (0.604, 0.000, 0.876)
O (0.641, 0.263, 0.394)
O (0.641, 0.737, 0.394)
O (0.649, 0.500, 0.884)
O (0.865, 0.272, 0.108)
O (0.865, 0.728, 0.108)
O (0.896, 0.500, 0.613)
O (0.903, 0.000, 0.615)

Results
**Space group**: No. 10

---

Record 3
## CaNi2P4O14 (GGA+U)

Data for an optimized crystal structure of CaNi2P4O14.

Unit cell a=6.446 b=6.602 c=6.787 alpha=65.83 beta=87.59 gamma=83.09
Fractional positions:
Ca (0.000, 0.000, 0.000)
Ni (0.219, 0.176, 0.391)
Ni (0.516, 0.376, 0.965)
P (0.005, 0.500, 0.935)
P (0.249, 0.630, 0.520)
P (0.492, 0.916, 0.837)
P (0.729, 0.052, 0.421)
O (0.078, 0.649, 0.693)
O (0.187, 0.474, 0.425)
O (0.196, 0.323, 0.047)
O (0.252, 0.870, 0.353)
O (0.279, 0.031, 0.728)
O (0.457, 0.523, 0.642)
O (0.472, 0.677, 0.995)
O (0.536, 0.212, 0.301)
O (0.586, 0.058, 0.933)
O (0.648, 0.893, 0.654)
O (0.806, 0.897, 0.311)
O (0.833, 0.367, 0.916)
O (0.907, 0.165, 0.457)
O (0.941, 0.661, 0.035)

Results
**Space group**: No. 1

---

Record 4
## Na2LiMnPCO7 (GGA+U)

Data for an optimized crystal structure of Na2LiMnPCO7.

Unit cell a=8.886 b=6.787 c=10.263 alpha=90.00 beta=90.52 gamma=90.00
Fractional positions:
Na (0.000, 0.001, 0.000)
Na (0.000, 0.999, 0.500)
Na (0.172, 0.251, 0.755)
Na (0.172, 0.749, 0.255)
Na (0.660, 0.251, 0.003)
Na (0.660, 0.252, 0.503)
Na (0.660, 0.748, 0.003)
Na (0.660, 0.749, 0.503)
Li (0.187, 0.234, 0.262)
Li (0.187, 0.766, 0.762)
Li (0.831, 0.493, 0.253)
Li (0.831, 0.507, 0.753)
Mn (0.276, 0.498, 0.490)
Mn (0.276, 0.502, 0.990)
Mn (0.556, 0.001, 0.767)
Mn (0.556, 0.999, 0.267)
P (0.325, 0.005, 0.026)
P (0.325, 0.995, 0.526)
P (0.507, 0.495, 0.230)
P (0.507, 0.505, 0.730)
C (0.861, 0.008, 0.248)
C (0.861, 0.992, 0.748)
C (0.970, 0.499, 0.014)
C (0.970, 0.501, 0.514)
O (0.007, 0.025, 0.239)
O (0.007, 0.975, 0.739)
O (0.009, 0.499, 0.892)
O (0.009, 0.501, 0.392)
O (0.071, 0.498, 0.107)
O (0.071, 0.502, 0.607)
O (0.233, 0.180, 0.484)
O (0.233, 0.820, 0.984)
O (0.235, 0.187, 0.979)
O (0.235, 0.813, 0.479)
O (0.339, 0.012, 0.179)
O (0.339, 0.988, 0.679)
O (0.347, 0.482, 0.290)
O (0.347, 0.518, 0.790)
O (0.486, 0.000, 0.469)
O (0.486, 0.000, 0.969)
O (0.488, 0.499, 0.079)
O (0.488, 0.501, 0.579)
O (0.596, 0.318, 0.773)
O (0.596, 0.682, 0.273)
O (0.608, 0.317, 0.270)
O (0.608, 0.683, 0.770)
O (0.777, 0.001, 0.643)
O (0.777, 0.999, 0.143)
O (0.797, 0.000, 0.361)
O (0.797, 0.000, 0.861)
O (0.828, 0.500, 0.047)
O (0.828, 0.500, 0.547)

Results
**Space group**: No. 7

---

Record 5
## AlNiO3 (GGA+U)

Data for an optimized crystal structure of AlNiO3.

Unit cell a=5.411 b=5.411 c=11.029 alpha=90.00 beta=90.00 gamma=120.00
Fractional positions:
Al (0.000, 0.000, 0.000)
Al (0.000, 0.000, 0.500)
Al (0.333, 0.667, 0.479)
Al (0.333, 0.667, 0.979)
Al (0.667, 0.333, 0.479)
Al (0.667, 0.333, 0.979)
Ni (0.000, 0.333, 0.236)
Ni (0.000, 0.667, 0.736)
Ni (0.333, 0.000, 0.236)
Ni (0.333, 0.333, 0.736)
Ni (0.667, 0.000, 0.736)
Ni (0.667, 0.667, 0.236)
O (0.000, 0.000, 0.201)
O (0.000, 0.000, 0.701)
O (0.000, 0.312, 0.408)
O (0.000, 0.359, 0.066)
O (0.000, 0.641, 0.566)
O (0.000, 0.688, 0.908)
O (0.312, 0.000, 0.408)
O (0.312, 0.312, 0.908)
O (0.333, 0.667, 0.256)
O (0.333, 0.667, 0.756)
O (0.359, 0.000, 0.066)
O (0.359, 0.359, 0.566)
O (0.641, 0.000, 0.566)
O (0.641, 0.641, 0.066)
O (0.667, 0.333, 0.256)
O (0.667, 0.333, 0.756)
O (0.688, 0.000, 0.908)
O (0.688, 0.688, 0.408)

Results
**Space group**: No. 185

---

Record 6
## Mn2S3N2O12 (GGA+U)

Data for an optimized crystal structure of Mn2S3N2O12.

Unit cell a=10.086 b=10.086 c=10.086 alpha=90.00 beta=90.00 gamma=90.00
Fractional positions:
Mn (0.100, 0.100, 0.100)
Mn (0.165, 0.335, 0.665)
Mn (0.335, 0.665, 0.165)
Mn (0.400, 0.900, 0.600)
Mn (0.600, 0.400, 0.900)
Mn (0.665, 0.165, 0.335)
Mn (0.835, 0.835, 0.835)
Mn (0.900, 0.600, 0.400)
S (0.018, 0.786, 0.124)
S (0.124, 0.018, 0.786)
S (0.214, 0.624, 0.482)
S (0.286, 0.376, 0.982)
S (0.376, 0.982, 0.286)
S (0.482, 0.214, 0.624)
S (0.518, 0.714, 0.876)
S (0.624, 0.482, 0.214)
S (0.714, 0.876, 0.518)
S (0.786, 0.124, 0.018)
S (0.876, 0.518, 0.714)
S (0.982, 0.286, 0.376)
N (0.045, 0.955, 0.455)
N (0.183, 0.683, 0.817)
N (0.317, 0.317, 0.317)
N (0.455, 0.045, 0.955)
N (0.545, 0.545, 0.545)
N (0.683, 0.817, 0.183)
N (0.817, 0.183, 0.683)
N (0.955, 0.455, 0.045)
O (0.002, 0.446, 0.735)
O (0.010, 0.930, 0.164)
O (0.042, 0.210, 0.268)
O (0.054, 0.265, 0.502)
O (0.070, 0.664, 0.490)
O (0.100, 0.158, 0.749)
O (0.158, 0.749, 0.100)
O (0.164, 0.010, 0.930)
O (0.210, 0.268, 0.042)
O (0.232, 0.958, 0.710)
O (0.235, 0.498, 0.554)
O (0.249, 0.400, 0.842)
O (0.251, 0.600, 0.342)
O (0.265, 0.502, 0.054)
O (0.268, 0.042, 0.210)
O (0.290, 0.732, 0.542)
O (0.336, 0.990, 0.430)
O (0.342, 0.251, 0.600)
O (0.400, 0.842, 0.249)
O (0.430, 0.336, 0.990)
O (0.446, 0.735, 0.002)
O (0.458, 0.790, 0.768)
O (0.490, 0.070, 0.664)
O (0.498, 0.554, 0.235)
O (0.502, 0.054, 0.265)
O (0.510, 0.570, 0.836)
O (0.542, 0.290, 0.732)
O (0.554, 0.235, 0.498)
O (0.570, 0.836, 0.510)
O (0.600, 0.342, 0.251)
O (0.658, 0.751, 0.900)
O (0.664, 0.490, 0.070)
O (0.710, 0.232, 0.958)
O (0.732, 0.542, 0.290)
O (0.735, 0.002, 0.446)
O (0.749, 0.100, 0.158)
O (0.751, 0.900, 0.658)
O (0.765, 0.998, 0.946)
O (0.768, 0.458, 0.790)
O (0.790, 0.768, 0.458)
O (0.836, 0.510, 0.570)
O (0.842, 0.249, 0.400)
O (0.900, 0.658, 0.751)
O (0.930, 0.164, 0.010)
O (0.946, 0.765, 0.998)
O (0.958, 0.710, 0.232)
O (0.990, 0.430, 0.336)
O (0.998, 0.946, 0.765)

Results
**Space group**: No. 198

---

Record 7
## K2CoP4H8O16 (GGA+U)

Data for an optimized crystal structure of K2CoP4H8O16.

Unit cell a=9.839 b=11.123 c=13.459 alpha=90.00 beta=90.00 gamma=90.00
Fractional positions:
K (0.053, 0.250, 0.103)
K (0.248, 0.250, 0.624)
K (0.252, 0.750, 0.124)
K (0.447, 0.750, 0.603)
K (0.553, 0.250, 0.397)
K (0.748, 0.250, 0.876)
K (0.752, 0.750, 0.376)
K (0.947, 0.750, 0.897)
Co (0.165, 0.250, 0.360)
Co (0.335, 0.750, 0.860)
Co (0.665, 0.250, 0.140)
Co (0.835, 0.750, 0.640)
P (0.060, 0.518, 0.276)
P (0.060, 0.982, 0.276)
P (0.249, 0.016, 0.943)
P (0.249, 0.484, 0.943)
P (0.251, 0.516, 0.443)
P (0.251, 0.984, 0.443)
P (0.440, 0.018, 0.776)
P (0.440, 0.482, 0.776)
P (0.560, 0.518, 0.224)
P (0.560, 0.982, 0.224)
P (0.749, 0.016, 0.557)
P (0.749, 0.484, 0.557)
P (0.751, 0.516, 0.057)
P (0.751, 0.984, 0.057)
P (0.940, 0.018, 0.724)
P (0.940, 0.482, 0.724)
H (0.039, 0.678, 0.521)
H (0.039, 0.822, 0.521)
H (0.041, 0.081, 0.901)
H (0.041, 0.419, 0.901)
H (0.100, 0.023, 0.609)
H (0.100, 0.477, 0.609)
H (0.136, 0.681, 0.723)
H (0.136, 0.819, 0.723)
H (0.364, 0.181, 0.223)
H (0.364, 0.319, 0.223)
H (0.400, 0.523, 0.109)
H (0.400, 0.977, 0.109)
H (0.459, 0.581, 0.401)
H (0.459, 0.919, 0.401)
H (0.461, 0.178, 0.021)
H (0.461, 0.322, 0.021)
H (0.539, 0.678, 0.979)
H (0.539, 0.822, 0.979)
H (0.541, 0.081, 0.599)
H (0.541, 0.419, 0.599)
H (0.600, 0.023, 0.891)
H (0.600, 0.477, 0.891)
H (0.636, 0.681, 0.777)
H (0.636, 0.819, 0.777)
H (0.864, 0.181, 0.277)
H (0.864, 0.319, 0.277)
H (0.900, 0.523, 0.391)
H (0.900, 0.977, 0.391)
H (0.959, 0.581, 0.099)
H (0.959, 0.919, 0.099)
H (0.961, 0.178, 0.479)
H (0.961, 0.322, 0.479)
O (0.021, 0.250, 0.475)
O (0.052, 0.119, 0.282)
O (0.052, 0.381, 0.282)
O (0.065, 0.074, 0.668)
O (0.065, 0.426, 0.668)
O (0.074, 0.573, 0.174)
O (0.074, 0.927, 0.174)
O (0.116, 0.093, 0.954)
O (0.116, 0.407, 0.954)
O (0.152, 0.553, 0.523)
O (0.152, 0.947, 0.523)
O (0.194, 0.563, 0.336)
O (0.194, 0.937, 0.336)
O (0.197, 0.750, 0.733)
O (0.218, 0.618, 0.934)
O (0.218, 0.882, 0.934)
O (0.282, 0.118, 0.434)
O (0.282, 0.382, 0.434)
O (0.303, 0.250, 0.233)
O (0.306, 0.063, 0.836)
O (0.306, 0.437, 0.836)
O (0.348, 0.053, 0.023)
O (0.348, 0.447, 0.023)
O (0.384, 0.593, 0.454)
O (0.384, 0.907, 0.454)
O (0.426, 0.073, 0.674)
O (0.426, 0.427, 0.674)
O (0.435, 0.574, 0.168)
O (0.435, 0.926, 0.168)
O (0.448, 0.619, 0.782)
O (0.448, 0.881, 0.782)
O (0.479, 0.750, 0.975)
O (0.521, 0.250, 0.025)
O (0.552, 0.119, 0.218)
O (0.552, 0.381, 0.218)
O (0.565, 0.074, 0.832)
O (0.565, 0.426, 0.832)
O (0.574, 0.573, 0.326)
O (0.574, 0.927, 0.326)
O (0.616, 0.093, 0.546)
O (0.616, 0.407, 0.546)
O (0.652, 0.553, 0.977)
O (0.652, 0.947, 0.977)
O (0.694, 0.563, 0.164)
O (0.694, 0.937, 0.164)
O (0.697, 0.750, 0.767)
O (0.718, 0.618, 0.566)
O (0.718, 0.882, 0.566)
O (0.782, 0.118, 0.066)
O (0.782, 0.382, 0.066)
O (0.803, 0.250, 0.267)
O (0.806, 0.063, 0.664)
O (0.806, 0.437, 0.664)
O (0.848, 0.053, 0.477)
O (0.848, 0.447, 0.477)
O (0.884, 0.593, 0.046)
O (0.884, 0.907, 0.046)
O (0.926, 0.073, 0.826)
O (0.926, 0.427, 0.826)
O (0.935, 0.574, 0.332)
O (0.935, 0.926, 0.332)
O (0.948, 0.619, 0.718)
O (0.948, 0.881, 0.718)
O (0.979, 0.750, 0.525)

Results
**Space group**: No. 62

---

Number 1: corrected total energy (MP2020 scheme) -6.195 eV per atom, spin magnetization 20.0 μB/cell. Number 2: corrected total energy (MP2020 scheme) -6.503 eV per atom, spin magnetization 8.0 μB/cell. Number 3: corrected total energy (MP2020 scheme) -7.351 eV per atom, spin magnetization 6.0 μB/cell. Number 4: corrected total energy (MP2020 scheme) -7.218 eV per atom, spin magnetization 0.0 μB/cell. Number 5: corrected total energy (MP2020 scheme) -6.720 eV per atom, spin magnetization 2.4 μB/cell. Number 6: corrected total energy (MP2020 scheme) -6.712 eV per atom, spin magnetization 56.0 μB/cell. Number 7: corrected total energy (MP2020 scheme) -6.483 eV per atom, spin magnetization 4.0 μB/cell.